(1)
Entry from Materials Project: a relaxed Ba3SrMgNb2O9 crystal (PBE).

Lattice parameters (Å, degrees): 5.9894 5.9894 9.1068 90.00 90.00 120.00
Space group P3m1 (No. 156)
One atom of each set of equivalent atoms:
Ba 0.0000 0.0000 0.0000
Ba 0.3333 0.6667 0.4914
Ba 0.6667 0.3333 0.1849
Sr 0.6667 0.3333 0.8087
Mg 0.6667 0.3333 0.4957
Nb 0.0000 0.0000 0.3848
Nb 0.3333 0.6667 0.1030
O 0.0107 0.5054 0.9762
O 0.1652 0.3303 0.2460
O 0.3140 0.1570 0.5232

Output
Uncorrected energy ... -7.0371 eV per atom
E_form ... -2.8122 eV/atom
Energy above the lowest structure with this stoichiometry ... 167 kJ/mol of formula units
ρ ... 5.01 g/cm3
Crystal system ... trigonal

***

(2)
Entry from Materials Project: a relaxed Na6MgSi4Sn3S2O24 crystal (PBE).

Lattice parameters (Å, degrees): 9.032 9.043 22.630 89.44 89.56 60.09
Space group P1 (No. 1)
One atom of each set of equivalent atoms:
Na 0.000 0.000 0.000
Na 0.005 0.363 0.507
Na 0.029 0.680 0.915
Na 0.030 0.675 0.424
Na 0.038 0.313 0.178
Na 0.061 0.348 0.835
Na 0.321 0.706 0.838
Na 0.363 0.007 0.752
Na 0.365 0.017 0.257
Na 0.367 0.650 0.509
Na 0.372 0.369 0.012
Na 0.641 0.044 0.174
Na 0.668 0.363 0.093
Na 0.696 0.340 0.588
Na 0.698 0.709 0.346
Na 0.705 0.966 0.838
Na 0.712 0.656 0.009
Na 0.718 0.010 0.507
Mg 0.028 0.677 0.778
Mg 0.365 0.005 0.602
Mg 0.383 0.994 0.110
Si 0.077 0.008 0.509
Si 0.324 0.380 0.174
Si 0.362 0.716 0.009
Si 0.365 0.300 0.510
Si 0.399 0.340 0.840
Si 0.650 0.715 0.507
Si 0.657 0.010 0.009
Si 0.697 0.045 0.339
Si 0.698 0.630 0.840
Si 0.731 0.674 0.174
Si 0.990 0.049 0.841
Si 0.994 0.332 0.339
Sn 0.024 0.666 0.277
Sn 0.027 0.676 0.572
Sn 0.033 0.672 0.074
Sn 0.357 0.025 0.408
Sn 0.373 0.994 0.904
Sn 0.685 0.343 0.938
Sn 0.691 0.343 0.239
Sn 0.696 0.339 0.741
Sn 0.706 0.330 0.443
S 0.028 0.379 0.676
S 0.033 0.965 0.174
S 0.072 0.297 0.008
S 0.325 0.672 0.675
S 0.399 0.636 0.341
S 0.735 0.970 0.676
O 0.001 0.485 0.620
O 0.005 0.510 0.337
O 0.010 0.864 0.834
O 0.040 0.469 0.728
O 0.051 0.837 0.515
O 0.052 0.473 0.010
O 0.057 0.859 0.226
O 0.151 0.195 0.061
O 0.152 0.052 0.565
O 0.175 0.223 0.953
O 0.177 0.039 0.846
O 0.177 0.993 0.166
O 0.179 0.160 0.344
O 0.179 0.211 0.671
O 0.191 0.690 0.012
O 0.193 0.494 0.517
O 0.200 0.479 0.229
O 0.200 0.958 0.450
O 0.214 0.505 0.831
O 0.223 0.685 0.728
O 0.227 0.656 0.334
O 0.246 0.646 0.620
O 0.248 0.494 0.112
O 0.308 0.237 0.450
O 0.316 0.831 0.946
O 0.330 0.198 0.170
O 0.344 0.824 0.670
O 0.384 0.167 0.847
O 0.389 0.804 0.344
O 0.394 0.808 0.062
O 0.415 0.174 0.565
O 0.471 0.383 0.900
O 0.473 0.532 0.394
O 0.500 0.510 0.677
O 0.509 0.557 0.287
O 0.519 0.352 0.178
O 0.523 0.818 0.843
O 0.528 0.332 0.499
O 0.529 0.794 0.563
O 0.533 0.012 0.343
O 0.535 0.285 0.785
O 0.536 0.055 0.065
O 0.537 0.523 0.002
O 0.549 0.843 0.171
O 0.566 0.986 0.671
O 0.579 0.831 0.446
O 0.581 0.968 0.948
O 0.647 0.548 0.785
O 0.665 0.159 0.279
O 0.677 0.522 0.499
O 0.688 0.176 0.002
O 0.722 0.130 0.399
O 0.723 0.144 0.677
O 0.732 0.489 0.179
O 0.738 0.513 0.901
O 0.820 0.711 0.231
O 0.824 0.867 0.728
O 0.840 0.892 0.620
O 0.845 0.694 0.514
O 0.850 0.833 0.014
O 0.858 0.629 0.114
O 0.863 0.653 0.833
O 0.864 0.380 0.396
O 0.865 0.367 0.677
O 0.871 0.137 0.178
O 0.873 0.854 0.335
O 0.874 0.129 0.902
O 0.881 0.172 0.502
O 0.897 0.318 0.003
O 0.904 0.311 0.279
O 0.909 0.180 0.784
O 0.997 0.894 0.119

Output
Uncorrected energy ... -6.2852 eV per atom
E_form ... -2.4402 eV/atom
ρ ... 3.35 g/cm3
Crystal system ... triclinic

***

(3)
Entry from Materials Project: a relaxed Ho2ZrS5 crystal (PBE).

Lattice parameters (Å, degrees): 11.583 7.739 7.253 90.00 90.00 90.00
Space group Pnma (No. 62)
One atom of each set of equivalent atoms:
Ho 0.179 0.003 0.021
Zr 0.007 0.750 0.579
S 0.003 0.750 0.951
S 0.096 0.038 0.661
S 0.183 0.750 0.331
S 0.209 0.250 0.308

Output
Uncorrected energy ... -6.6574 eV per atom
E_form ... -2.1724 eV/atom
ρ ... 5.94 g/cm3
Crystal system ... orthorhombic

***

(4)
Entry from Materials Project: a relaxed Rb2UPd3S6 crystal (PBE).

Lattice parameters (Å, degrees): 9.799 14.908 16.942 90.00 90.00 90.00
Space group Fmmm (No. 69)
One atom of each set of equivalent atoms:
Rb 0.000 0.204 0.000
Rb 0.250 0.250 0.250
U 0.000 0.000 0.332
Pd 0.163 0.000 0.159
Pd 0.173 0.000 0.500
S 0.000 0.107 0.204
S 0.186 0.109 0.398

Output
Uncorrected energy ... -5.4109 eV per atom
E_form ... -1.1948 eV/atom
ρ ... 4.94 g/cm3
Crystal system ... orthorhombic

***

(5)
Entry from Materials Project: a relaxed CuP2PbO7 crystal (PBE).

Lattice parameters (Å, degrees): 5.538 8.283 13.774 90.00 112.83 90.00
Space group P2_1/c (No. 14)
One atom of each set of equivalent atoms:
Cu 0.172 0.144 0.387
P 0.094 0.537 0.339
P 0.167 0.695 0.988
Pb 0.486 0.669 0.777
O 0.023 0.139 0.849
O 0.116 0.164 0.520
O 0.159 0.122 0.237
O 0.173 0.617 0.453
O 0.220 0.594 0.903
O 0.325 0.558 0.305
O 0.381 0.683 0.097

Output
Uncorrected energy ... -6.6495 eV per atom
E_form ... -2.2436 eV/atom
ρ ... 5.07 g/cm3
Crystal system ... monoclinic

***

(6)
Entry from Materials Project: a relaxed K3AsSe3 crystal (PBE).

Lattice parameters (Å, degrees): 9.905 9.905 9.905 90.00 90.00 90.00
Space group P2_13 (No. 198)
One atom of each set of equivalent atoms:
K 0.080 0.080 0.080
K 0.184 0.316 0.684
K 0.187 0.687 0.813
As 0.022 0.978 0.478
Se 0.005 0.211 0.402

Output
Uncorrected energy ... -3.5590 eV per atom
E_form ... -1.1215 eV/atom
ρ ... 2.93 g/cm3
Crystal system ... cubic
Piezoelectric modulus e_max ... 0.023 C/m²

***

(7)
Entry from Materials Project: a relaxed Nd2Fe17C crystal (PBE).

Lattice parameters (Å, degrees): 9.695 8.650 6.509 90.00 98.27 90.00
Space group C2/m (No. 12)
One atom of each set of equivalent atoms:
Nd 0.161 0.000 0.352
Fe 0.000 0.214 0.000
Fe 0.000 0.500 0.500
Fe 0.096 0.255 0.658
Fe 0.096 0.500 0.903
Fe 0.143 0.357 0.286
Fe 0.157 0.000 0.852
Fe 0.250 0.250 0.000
C 0.000 0.000 0.000

Output
Uncorrected energy ... -7.8521 eV per atom
E_form ... 0.2857 eV/atom
ρ ... 7.68 g/cm3
Crystal system ... monoclinic

***

(8)
Entry from Materials Project: a relaxed Pm5Mg crystal (PBE).

Lattice parameters (Å, degrees): 5.823 3.706 18.299 90.00 90.00 90.00
Space group Amm2 (No. 38)
One atom of each set of equivalent atoms:
Pm 0.000 0.000 0.000
Pm 0.000 0.000 0.324
Pm 0.500 0.000 0.204
Pm 0.500 0.000 0.544
Pm 0.500 0.000 0.873
Mg 0.000 0.000 0.660

Output
Uncorrected energy ... -4.1889 eV per atom
E_form ... 0.0366 eV/atom
ρ ... 6.30 g/cm3
Crystal system ... orthorhombic

***

(9)
Entry from Materials Project: a relaxed Sn7Pd5 crystal (PBE).

Lattice parameters (Å, degrees): 13.296 4.384 9.730 90.00 111.47 90.00
Space group C2 (No. 5)
One atom of each set of equivalent atoms:
Sn 0.000 0.000 0.000
Sn 0.007 0.671 0.325
Sn 0.228 0.174 0.617
Sn 0.247 0.182 0.119
Pd 0.000 0.166 0.500
Pd 0.116 0.180 0.820
Pd 0.130 0.173 0.303

Output
Uncorrected energy ... -4.9174 eV per atom
E_form ... -0.4202 eV/atom
ρ ... 8.58 g/cm3
Crystal system ... monoclinic

***

(10)
Entry from Materials Project: a relaxed MgInGaO4 crystal (PBE).

Lattice parameters (Å, degrees): 3.3857 3.3857 25.5413 90.00 90.00 120.00
Space group R3m (No. 160, hexagonal axes)
One atom of each set of equivalent atoms:
Mg 0.0000 0.0000 0.0000
In 0.0000 0.0000 0.7866
Ga 0.0000 0.0000 0.5727
O 0.0000 0.0000 0.0792
O 0.0000 0.0000 0.4965
O 0.0000 0.0000 0.6502
O 0.0000 0.0000 0.9097

Output
Uncorrected energy ... -5.8912 eV per atom
E_form ... -2.4020 eV/atom
ρ ... 5.36 g/cm3
Crystal system ... trigonal

***

(11)
Entry from Materials Project: a relaxed NaHo2F7 crystal (PBE).

Lattice parameters (Å, degrees): 4.056 4.078 9.236 89.88 88.24 68.09
Space group P1 (No. 1)
One atom of each set of equivalent atoms:
Na 0.000 0.000 0.000
Ho 0.402 0.368 0.331
Ho 0.669 0.729 0.669
F 0.055 0.985 0.728
F 0.348 0.302 0.106
F 0.398 0.876 0.438
F 0.410 0.340 0.634
F 0.677 0.655 0.892
F 0.908 0.390 0.446
F 0.933 0.894 0.253

Output
Uncorrected energy ... -6.0889 eV per atom
E_form ... -4.0234 eV/atom
ρ ... 5.70 g/cm3
Crystal system ... triclinic

***

(12)
Entry from Materials Project: a relaxed NaNbO3 crystal (PBE).

Lattice parameters (Å, degrees): 7.851 7.934 7.944 90.00 90.00 90.00
Space group Cmcm (No. 63)
One atom of each set of equivalent atoms:
Na 0.000 0.003 0.250
Na 0.000 0.489 0.750
Nb 0.250 0.250 0.000
O 0.000 0.291 0.039
O 0.207 0.000 0.000
O 0.210 0.257 0.750

Output
Uncorrected energy ... -7.6633 eV per atom
E_form ... -2.8220 eV/atom
ρ ... 4.40 g/cm3
Crystal system ... orthorhombic